## KPH3O3F (GGA-PBE)

Data for a geometry-optimized KPH3O3F structure.

Results
Spin magnetization   0.00 μB per cell
E_form   -1946 meV/atom
DFT total energy   -5.383 eV per atom
Space-group type   No. 14

Cell lengths 10.9456, 6.5370, 7.9277 Å; angles 55.34, 90.00, 90.00 degrees
Last column: nearest neighbours and their distance in Å.
Positions (direct):
H (0.4604, 0.7169, 0.8793)  1 O 1.03
H (0.0525, 0.2850, 0.2729)  1 P 1.41
H (0.5525, 0.7150, 0.2271)  1 P 1.41
O (0.4196, 0.7654, 0.9688)  1 H 1.03
O (0.8438, 0.3844, 0.1815)  1 H 1.34
K (0.6793, 0.0652, 0.5501)  2 F 2.68-2.78, 4 O 2.78-2.83
H (0.5396, 0.2831, 0.1207)  1 O 1.03
H (0.0396, 0.7169, 0.3793)  1 O 1.03
F (0.7271, 0.7508, 0.9512)  1 H 1.05
P (0.5475, 0.4044, 0.7938)  1 H 1.41, 2 O 1.52-1.54
H (0.9475, 0.7150, 0.7271)  1 P 1.41
O (0.0804, 0.7654, 0.4688)  1 H 1.03
H (0.4475, 0.2850, 0.7729)  1 P 1.41
O (0.9196, 0.2346, 0.5312)  1 H 1.03
H (0.2786, 0.4103, 0.4493)  1 F 1.05
P (0.0475, 0.5956, 0.7062)  1 H 1.41, 2 O 1.52-1.54
H (0.2214, 0.4103, 0.9493)  1 F 1.05
K (0.3207, 0.9348, 0.4499)  2 F 2.68-2.78, 4 O 2.78-2.83
O (0.9895, 0.6662, 0.2223)  1 P 1.52, 1 H 1.56
O (0.6562, 0.3844, 0.6815)  1 H 1.34
H (0.9604, 0.2831, 0.6207)  1 O 1.03
O (0.1562, 0.6156, 0.8185)  1 H 1.34
O (0.4895, 0.3338, 0.2777)  1 P 1.52, 1 H 1.56
F (0.2729, 0.2492, 0.0488)  1 H 1.05
K (0.8207, 0.0652, 0.0501)  2 F 2.68-2.78, 4 O 2.78-2.83
F (0.2271, 0.2492, 0.5488)  1 H 1.05
F (0.7729, 0.7508, 0.4512)  1 H 1.05
P (0.9525, 0.4044, 0.2938)  1 H 1.41, 2 O 1.52-1.54
O (0.5804, 0.2346, 0.0312)  1 H 1.03
K (0.1793, 0.9348, 0.9499)  2 F 2.68-2.78, 4 O 2.78-2.83
H (0.7786, 0.5897, 0.0507)  1 F 1.05
O (0.5105, 0.6662, 0.7223)  1 P 1.52, 1 H 1.56
P (0.4525, 0.5956, 0.2062)  1 H 1.41, 2 O 1.52-1.54
O (0.3438, 0.6156, 0.3185)  1 H 1.34
O (0.0105, 0.3338, 0.7777)  1 P 1.52, 1 H 1.56
H (0.7214, 0.5897, 0.5507)  1 F 1.05